Record 1
# Na4Co2O5

A relaxed Na4Co2O5 crystal (PBE+U, Materials Project). Values from VASP.

## Properties
Volume ... 1205.1 Å³/cell
E ... -4.864 eV per atom
ρ ... 3.195 g cm⁻³
Energy of formation ... -1.451 eV/atom
MP2020-corrected energy ... -5.47 eV per atom
Spin magnetization ... 7.00 μB/f.u.
Offset from the most stable computed form ... 67.2 meV/atom
Crystal system ... monoclinic

Geometry as Quantum ESPRESSO input:
```
&SYSTEM
  ibrav = 0, nat = 88, ntyp = 3
/
ATOMIC_SPECIES
O 16.00 O.upf
Co 58.93 Co.upf
Na 22.99 Na.upf
CELL_PARAMETERS angstrom
-1.1450 -5.1332 8.1484
-8.0992 -5.4646 -4.5807
7.2171 -8.0210 -4.0389
ATOMIC_POSITIONS crystal
O 0.6518 0.5174 0.2366
Co 0.7839 0.6647 0.7689
O 0.0916 0.9852 0.7492
Na 0.6280 0.4307 0.4311
O 0.5916 0.0148 0.7508
O 0.5895 0.2840 0.6508
Co 0.4329 0.2683 0.5642
Co 0.3195 0.7704 0.0656
O 0.8777 0.6938 0.3311
Na 0.1666 0.9795 0.2408
Na 0.6666 0.0205 0.2592
O 0.4084 0.9852 0.2492
Na 0.6155 0.9006 0.9469
Na 0.1296 0.9281 0.9530
O 0.1112 0.3846 0.9628
Na 0.3704 0.9281 0.4530
Na 0.9123 0.8182 0.1610
Na 0.8722 0.6007 0.5284
O 0.8783 0.8856 0.9535
O 0.6319 0.1155 0.0397
O 0.3399 0.7919 0.6378
Na 0.3845 0.0994 0.0531
Co 0.1805 0.7704 0.5656
O 0.1518 0.4826 0.2634
O 0.8588 0.7988 0.6668
Na 0.3334 0.9795 0.7408
Na 0.0877 0.1818 0.8390
Na 0.6278 0.6007 0.0284
Na 0.1280 0.5693 0.0689
Na 0.3720 0.5693 0.5689
Na 0.5877 0.8182 0.6610
O 0.9105 0.2840 0.1508
O 0.6412 0.7988 0.1668
Na 0.3722 0.3993 0.9716
Co 0.5261 0.1637 0.7733
Co 0.0671 0.2683 0.0642
Co 0.9739 0.1637 0.2733
Co 0.8195 0.2296 0.4344
Na 0.4076 0.5293 0.2413
O 0.8888 0.6154 0.0372
O 0.3588 0.2012 0.8332
Na 0.0924 0.5293 0.7413
O 0.6223 0.6938 0.8311
O 0.8399 0.2081 0.8622
O 0.1217 0.1144 0.0465
Co 0.2839 0.3353 0.7311
O 0.4105 0.7160 0.3492
Na 0.6389 0.3119 0.1681
O 0.3740 0.6166 0.0461
Na 0.8334 0.0205 0.7592
Co 0.2161 0.3353 0.2311
O 0.9084 0.0148 0.2508
Na 0.8845 0.9006 0.4469
O 0.0895 0.7160 0.8492
O 0.3777 0.3062 0.1689
O 0.3482 0.4826 0.7634
Na 0.8720 0.4307 0.9311
Co 0.6805 0.2296 0.9344
O 0.3681 0.8845 0.9603
O 0.6601 0.2081 0.3622
Na 0.3611 0.6881 0.8319
Na 0.6296 0.0719 0.5470
O 0.1319 0.8845 0.4603
O 0.1223 0.3062 0.6689
Na 0.8611 0.3119 0.6681
Co 0.9329 0.7317 0.9358
O 0.8740 0.3834 0.4539
Na 0.9076 0.4707 0.2587
Na 0.5924 0.4707 0.7587
O 0.6112 0.6154 0.5372
O 0.1260 0.6166 0.5461
Na 0.1155 0.0994 0.5531
O 0.1601 0.7919 0.1378
Co 0.7161 0.6647 0.2689
O 0.6217 0.8856 0.4535
O 0.8681 0.1155 0.5397
O 0.6260 0.3834 0.9539
Co 0.0261 0.8363 0.7267
Co 0.5671 0.7317 0.4358
O 0.3888 0.3846 0.4628
Na 0.1389 0.6881 0.3319
Co 0.4739 0.8363 0.2267
O 0.1412 0.2012 0.3332
Na 0.4123 0.1818 0.3390
Na 0.1278 0.3993 0.4716
O 0.8482 0.5174 0.7366
Na 0.8704 0.0719 0.0470
O 0.3783 0.1144 0.5465
```

=====

Record 2
# Na3Co5O10

A relaxed Na3Co5O10 crystal (PBE+U, Materials Project). Values from VASP.

## Properties
Volume ... 398.4 Å³/cell
E ... -5.515 eV per atom
ρ ... 4.365 g cm⁻³
Energy of formation ... -1.407 eV/atom
MP2020-corrected energy ... -6.35 eV per atom
Spin magnetization ... 3.01 μB/f.u.
Offset from the most stable computed form ... 63.5 meV/atom
Crystal system ... triclinic

Geometry as Quantum ESPRESSO input:
```
&SYSTEM
  ibrav = 0, nat = 36, ntyp = 3
/
ATOMIC_SPECIES
Co 58.93 Co.upf
O 16.00 O.upf
Na 22.99 Na.upf
CELL_PARAMETERS angstrom
-2.6295 0.6663 4.1978
9.3378 5.4996 2.9714
-1.4146 5.7682 -4.7086
ATOMIC_POSITIONS crystal
Co 0.0974 0.5011 0.1986
Co 0.4059 0.0049 0.8014
O 0.5914 0.5858 0.8057
O 0.5202 0.9074 0.4071
Co 0.9982 0.9964 0.0004
Na 0.5219 0.7475 0.1976
O 0.3814 0.4087 0.1909
Co 0.2038 0.0033 0.4013
O 0.1082 0.9124 0.6046
O 0.6154 0.4157 0.6000
O 0.0091 0.4099 0.3964
O 0.0903 0.0855 0.8006
O 0.7048 0.9140 0.8017
O 0.9092 0.9021 0.1905
O 0.0170 0.5955 0.6074
Co 0.8021 0.9982 0.6025
O 0.3786 0.5922 0.3909
Na 0.8230 0.2505 0.7987
O 0.7068 0.0902 0.9975
Co 0.5989 0.0029 0.2000
O 0.7924 0.5873 0.1979
O 0.2030 0.5894 0.0028
O 0.8785 0.0925 0.3998
O 0.2717 0.0961 0.1922
O 0.2039 0.4150 0.8022
O 0.3092 0.9139 0.0014
Co 0.3007 0.5000 0.6005
Co 0.4933 0.4958 0.9975
O 0.5230 0.0938 0.6060
Na 0.9991 0.2467 0.1955
O 0.8052 0.4119 0.0015
Co 0.9035 0.5053 0.8008
Co 0.7049 0.5059 0.4047
Na 0.6015 0.2502 0.3989
Na 0.3130 0.7487 0.8013
Na 0.1216 0.7473 0.4033
```

=====

Record 3
# Na8Co5O14

A relaxed Na8Co5O14 crystal (PBE+U, Materials Project). Values from VASP.

## Properties
Volume ... 604.9 Å³/cell
E ... -5.031 eV per atom
ρ ... 3.857 g cm⁻³
Energy of formation ... -1.417 eV/atom
MP2020-corrected energy ... -5.69 eV per atom
Spin magnetization ... 9.00 μB/f.u.
Offset from the most stable computed form ... 0.0 meV/atom
Crystal system ... triclinic

Geometry as Quantum ESPRESSO input:
```
&SYSTEM
  ibrav = 0, nat = 54, ntyp = 3
/
ATOMIC_SPECIES
Na 22.99 Na.upf
O 16.00 O.upf
Co 58.93 Co.upf
CELL_PARAMETERS angstrom
8.2636 0.0000 0.0000
-3.2469 7.8185 0.0000
-2.3721 -3.6422 9.3624
ATOMIC_POSITIONS crystal
Na 0.2909 0.5836 0.7028
O 0.9790 0.6615 0.3082
O 0.8370 0.5678 0.0228
Co 0.2056 0.9336 0.7742
O 0.9273 0.9625 0.3522
Co 0.1370 0.2524 0.8292
Co 0.1692 0.1053 0.3332
Co 0.7944 0.0664 0.2258
Co 0.3900 0.2344 0.6611
O 0.8953 0.0992 0.8180
O 0.9589 0.8033 0.7715
Na 0.5000 0.5000 0.5000
Co 0.8308 0.8947 0.6668
O 0.0210 0.3385 0.6918
O 0.7499 0.8566 0.0647
Na 0.1035 0.4744 0.3821
O 0.4336 0.0890 0.7596
O 0.5664 0.9110 0.2404
O 0.6937 0.1679 0.1253
O 0.2630 0.0106 0.4715
Co 0.0338 0.8364 0.4713
O 0.0411 0.1967 0.2285
Na 0.3727 0.0153 0.1074
Na 0.6273 0.9847 0.8926
Na 0.7041 0.6354 0.8396
O 0.8533 0.2546 0.4098
Na 0.4394 0.8761 0.5679
O 0.2092 0.2866 0.5162
O 0.1047 0.9008 0.1820
Na 0.8488 0.3522 0.8434
O 0.6071 0.7652 0.6887
O 0.3929 0.2348 0.3113
O 0.3909 0.6430 0.3497
O 0.7908 0.7134 0.4838
Na 0.0000 0.0000 0.0000
O 0.1630 0.4322 0.9772
O 0.6287 0.6039 0.1904
O 0.7370 0.9894 0.5285
Co 0.9662 0.1636 0.5287
O 0.3713 0.3961 0.8096
Na 0.5580 0.3339 0.9879
Na 0.1512 0.6478 0.1566
Co 0.8630 0.7476 0.1708
Na 0.5606 0.1239 0.4321
Co 0.6100 0.7656 0.3389
O 0.0727 0.0375 0.6478
O 0.3063 0.8321 0.8747
O 0.2501 0.1434 0.9353
Na 0.2959 0.3646 0.1604
Na 0.7091 0.4164 0.2972
O 0.6091 0.3570 0.6503
O 0.1467 0.7454 0.5902
Na 0.4420 0.6661 0.0121
Na 0.8965 0.5256 0.6179
```